Entry 1:
Entry from Materials Project: crystalline CaLa2Cu2O7 at its relaxed geometry (PBE).

Unit cell a=10.5622 b=10.5622 c=10.5622 alpha=159.09 beta=159.09 gamma=29.74
Element x y z (fractional)
Ca 0.0000 0.0000 0.0000
La 0.1790 0.1790 0.0000
La 0.8210 0.8210 0.0000
Cu 0.4060 0.4060 0.0000
Cu 0.5940 0.5940 0.0000
O 0.0997 0.5997 0.5000
O 0.2958 0.2958 0.0000
O 0.4003 0.9003 0.5000
O 0.5000 0.5000 0.0000
O 0.5997 0.0997 0.5000
O 0.7042 0.7042 0.0000
O 0.9003 0.4003 0.5000

Output
- SG: No. 139
- ΔH_f (0 K): -242 kJ per mole of atoms

Entry 2:
Entry from Materials Project: crystalline SiO2 at its relaxed geometry (PBE).

Unit cell a=10.2299 b=10.2299 c=14.1438 alpha=90.00 beta=90.00 gamma=136.58
Element x y z (fractional)
Si 0.0338 0.5582 0.2500
Si 0.0797 0.9203 0.5400
Si 0.0797 0.9203 0.9600
Si 0.1169 0.4696 0.5510
Si 0.1169 0.4696 0.9490
Si 0.1397 0.8603 0.7500
Si 0.4418 0.9662 0.2500
Si 0.4696 0.1169 0.0510
Si 0.4696 0.1169 0.4490
Si 0.5304 0.8831 0.5510
Si 0.5304 0.8831 0.9490
Si 0.5582 0.0338 0.7500
Si 0.8603 0.1397 0.2500
Si 0.8831 0.5304 0.0510
Si 0.8831 0.5304 0.4490
Si 0.9203 0.0797 0.0400
Si 0.9203 0.0797 0.4600
Si 0.9662 0.4418 0.7500
O 0.0000 0.0000 0.0000
O 0.0000 0.0000 0.5000
O 0.0000 0.5000 0.0000
O 0.0000 0.5000 0.5000
O 0.0183 0.6352 0.7500
O 0.0551 0.4270 0.6611
O 0.0551 0.4270 0.8389
O 0.0638 0.2939 0.5016
O 0.0638 0.2939 0.9984
O 0.0891 0.9109 0.6558
O 0.0891 0.9109 0.8442
O 0.2652 0.7348 0.2500
O 0.2939 0.0638 0.0016
O 0.2939 0.0638 0.4984
O 0.3443 0.6557 0.5405
O 0.3443 0.6557 0.9595
O 0.3648 0.9817 0.7500
O 0.4270 0.0551 0.1611
O 0.4270 0.0551 0.3389
O 0.5000 0.0000 0.0000
O 0.5000 0.0000 0.5000
O 0.5730 0.9449 0.6611
O 0.5730 0.9449 0.8389
O 0.6352 0.0183 0.2500
O 0.6557 0.3443 0.0405
O 0.6557 0.3443 0.4595
O 0.7061 0.9362 0.5016
O 0.7061 0.9362 0.9984
O 0.7348 0.2652 0.7500
O 0.9109 0.0891 0.1558
O 0.9109 0.0891 0.3442
O 0.9362 0.7061 0.0016
O 0.9362 0.7061 0.4984
O 0.9449 0.5730 0.1611
O 0.9449 0.5730 0.3389
O 0.9817 0.3648 0.2500

Output
- SG: No. 63
- ΔH_f (0 K): -313 kJ per mole of atoms

Entry 3:
Entry from Materials Project: crystalline Si3Mo at its relaxed geometry (PBE).

Unit cell a=5.2103 b=5.2103 c=4.8400 alpha=90.00 beta=90.00 gamma=120.00
Element x y z (fractional)
Si 0.1746 0.3492 0.2500
Si 0.1746 0.8254 0.2500
Si 0.3492 0.1746 0.7500
Si 0.6508 0.8254 0.2500
Si 0.8254 0.1746 0.7500
Si 0.8254 0.6508 0.7500
Mo 0.3333 0.6667 0.7500
Mo 0.6667 0.3333 0.2500

Output
- SG: No. 194
- ΔH_f (0 K): 24 kJ per mole of atoms

Entry 4:
Entry from Materials Project: crystalline Tb3OsO7 at its relaxed geometry (PBE).

Unit cell a=6.5095 b=6.5095 c=7.4107 alpha=90.00 beta=90.00 gamma=69.97
Element x y z (fractional)
Tb 0.0000 0.0000 0.0000
Tb 0.0000 0.0000 0.5000
Tb 0.0532 0.4803 0.7500
Tb 0.4803 0.0532 0.2500
Tb 0.5197 0.9468 0.7500
Tb 0.9468 0.5197 0.2500
Os 0.5000 0.5000 0.0000
Os 0.5000 0.5000 0.5000
O 0.1129 0.1542 0.2500
O 0.1542 0.1129 0.7500
O 0.1773 0.5679 0.0279
O 0.1773 0.5679 0.4721
O 0.4321 0.8227 0.0279
O 0.4321 0.8227 0.4721
O 0.4558 0.5442 0.7500
O 0.5442 0.4558 0.2500
O 0.5679 0.1773 0.5279
O 0.5679 0.1773 0.9721
O 0.8227 0.4321 0.5279
O 0.8227 0.4321 0.9721
O 0.8458 0.8871 0.2500
O 0.8871 0.8458 0.7500

Output
- SG: No. 63
- ΔH_f (0 K): -308 kJ per mole of atoms

Entry 5:
Entry from Materials Project: crystalline Al23V4 at its relaxed geometry (PBE).

Unit cell a=7.6788 b=7.6788 c=17.0405 alpha=90.00 beta=90.00 gamma=120.00
Element x y z (fractional)
Al 0.0821 0.5410 0.1664
Al 0.0821 0.5410 0.3336
Al 0.1252 0.2505 0.6165
Al 0.1252 0.2505 0.8835
Al 0.1252 0.8748 0.6165
Al 0.1252 0.8748 0.8835
Al 0.1257 0.2514 0.2500
Al 0.1257 0.8743 0.2500
Al 0.2107 0.4213 0.0296
Al 0.2107 0.4213 0.4704
Al 0.2107 0.7893 0.0296
Al 0.2107 0.7893 0.4704
Al 0.2505 0.1252 0.1165
Al 0.2505 0.1252 0.3835
Al 0.2514 0.1257 0.7500
Al 0.3333 0.6667 0.6161
Al 0.3333 0.6667 0.8839
Al 0.4213 0.2107 0.5296
Al 0.4213 0.2107 0.9704
Al 0.4590 0.5410 0.1664
Al 0.4590 0.5410 0.3336
Al 0.4590 0.9179 0.1664
Al 0.4590 0.9179 0.3336
Al 0.5410 0.0821 0.6664
Al 0.5410 0.0821 0.8336
Al 0.5410 0.4590 0.6664
Al 0.5410 0.4590 0.8336
Al 0.5787 0.7893 0.0296
Al 0.5787 0.7893 0.4704
Al 0.6667 0.3333 0.1161
Al 0.6667 0.3333 0.3839
Al 0.7486 0.8743 0.2500
Al 0.7495 0.8748 0.6165
Al 0.7495 0.8748 0.8835
Al 0.7893 0.2107 0.5296
Al 0.7893 0.2107 0.9704
Al 0.7893 0.5787 0.5296
Al 0.7893 0.5787 0.9704
Al 0.8743 0.1257 0.7500
Al 0.8743 0.7486 0.7500
Al 0.8748 0.1252 0.1165
Al 0.8748 0.1252 0.3835
Al 0.8748 0.7495 0.1165
Al 0.8748 0.7495 0.3835
Al 0.9179 0.4590 0.6664
Al 0.9179 0.4590 0.8336
V 0.0000 0.0000 0.0000
V 0.0000 0.0000 0.5000
V 0.2188 0.4377 0.7500
V 0.2188 0.7812 0.7500
V 0.4377 0.2188 0.2500
V 0.5623 0.7812 0.7500
V 0.7812 0.2188 0.2500
V 0.7812 0.5623 0.2500

Output
- SG: No. 194
- ΔH_f (0 K): -16 kJ per mole of atoms

Entry 6:
Entry from Materials Project: crystalline BaMgCu3O4 at its relaxed geometry (PBE).

Unit cell a=5.7834 b=6.3228 c=6.3228 alpha=53.39 beta=90.00 gamma=90.00
Element x y z (fractional)
Ba 0.0000 0.0000 0.0000
Mg 0.5000 0.9995 0.9995
Cu 0.5000 0.2530 0.2530
Cu 0.5000 0.4997 0.4997
Cu 0.5000 0.7461 0.7461
O 0.5000 0.1199 0.6353
O 0.5000 0.3635 0.8797
O 0.5000 0.6353 0.1199
O 0.5000 0.8797 0.3635

Output
- SG: No. 38
- ΔH_f (0 K): -110 kJ per mole of atoms
- Excess energy over the best structure of this formula in the dataset: 475 meV/atom

Entry 7:
Entry from Materials Project: crystalline NiB3Mo3 at its relaxed geometry (PBE).

Unit cell a=4.5233 b=4.5233 c=10.8097 alpha=90.00 beta=90.00 gamma=138.74
Element x y z (fractional)
Ni 0.0000 0.0000 0.0000
Ni 0.0000 0.0000 0.5000
B 0.2912 0.7088 0.7500
B 0.4105 0.5895 0.6054
B 0.4105 0.5895 0.8946
B 0.5895 0.4105 0.1054
B 0.5895 0.4105 0.3946
B 0.7088 0.2912 0.2500
Mo 0.0021 0.9979 0.2500
Mo 0.2873 0.7127 0.1091
Mo 0.2873 0.7127 0.3909
Mo 0.7127 0.2873 0.6091
Mo 0.7127 0.2873 0.8909
Mo 0.9979 0.0021 0.7500

Output
- SG: No. 63
- ΔH_f (0 K): -47 kJ per mole of atoms

Entry 8:
Entry from Materials Project: crystalline CaCe8Se12 at its relaxed geometry (PBE).

Unit cell a=8.9388 b=8.9388 c=14.7943 alpha=107.58 beta=107.58 gamma=90.00
Element x y z (fractional)
Ca 0.0625 0.9375 0.5000
Ca 0.9375 0.0625 0.0000
Ce 0.1873 0.9379 0.2500
Ce 0.1880 0.5625 0.0001
Ce 0.2279 0.8544 0.8336
Ce 0.2703 0.5223 0.4166
Ce 0.2705 0.3941 0.6665
Ce 0.3941 0.2705 0.1665
Ce 0.5202 0.8950 0.6660
Ce 0.5223 0.2703 0.9166
Ce 0.5625 0.1880 0.5001
Ce 0.6043 0.7293 0.3338
Ce 0.6061 0.8542 0.0834
Ce 0.7293 0.6043 0.8338
Ce 0.8544 0.2279 0.3336
Ce 0.8542 0.6061 0.5834
Ce 0.8950 0.5202 0.1660
Ce 0.9379 0.1873 0.7500
Se 0.0295 0.5298 0.7836
Se 0.0940 0.2452 0.2160
Se 0.1972 0.6933 0.6178
Se 0.2138 0.2150 0.4497
Se 0.2150 0.2138 0.9497
Se 0.2452 0.0940 0.7160
Se 0.2460 0.5954 0.2169
Se 0.2657 0.9111 0.0507
Se 0.3617 0.8643 0.4500
Se 0.4290 0.5788 0.8834
Se 0.5298 0.0295 0.2836
Se 0.5453 0.5459 0.1164
Se 0.5459 0.5453 0.6164
Se 0.5759 0.9279 0.8824
Se 0.5788 0.4290 0.3834
Se 0.5954 0.2460 0.7169
Se 0.6933 0.1972 0.1178
Se 0.7629 0.9141 0.5497
Se 0.8643 0.3617 0.9500
Se 0.8779 0.8796 0.7836
Se 0.8796 0.8779 0.2836
Se 0.9111 0.2657 0.5507
Se 0.9141 0.7629 0.0497
Se 0.9279 0.5759 0.3824

Output
- SG: No. 9
- ΔH_f (0 K): -200 kJ per mole of atoms

Entry 9:
Entry from Materials Project: crystalline NbP at its relaxed geometry (PBE).

Unit cell a=6.1912 b=6.1912 c=6.1912 alpha=148.54 beta=148.54 gamma=45.08
Element x y z (fractional)
Nb 0.0000 0.0000 0.0000
Nb 0.7500 0.2500 0.5000
P 0.1675 0.6675 0.5000
P 0.4175 0.4175 0.0000

Output
- SG: No. 109
- ΔH_f (0 K): -95 kJ per mole of atoms

Entry 10:
Entry from Materials Project: crystalline Sc2RuRh at its relaxed geometry (PBE).

Unit cell a=4.5593 b=4.5593 c=4.5593 alpha=60.00 beta=60.00 gamma=60.00
Element x y z (fractional)
Sc 0.2500 0.2500 0.2500
Sc 0.7500 0.7500 0.7500
Ru 0.0000 0.0000 0.0000
Rh 0.5000 0.5000 0.5000

Output
- SG: No. 225
- ΔH_f (0 K): -79 kJ per mole of atoms